No. 1
## Rb3SmP2S8 (GGA-PBE)

Data for an optimized crystal structure of Rb3SmP2S8.

a b c (Å): 9.8944 6.8957 11.8239
angles (deg): 90.00 90.67 90.00
Space group P2_1 (No. 4)
Asymmetric unit:
Rb  0.1079  0.0000  0.3505 (multiplicity 2)
Rb  0.1444  0.4941  0.0967 (multiplicity 2)
Rb  0.3257  0.4988  0.5855 (multiplicity 2)
Sm  0.3841  0.9783  0.8529 (multiplicity 2)
P  0.1273  0.0000  0.6917 (multiplicity 2)
P  0.4150  0.0218  0.1544 (multiplicity 2)
S  0.0528  0.5063  0.3908 (multiplicity 2)
S  0.1452  0.7553  0.7927 (multiplicity 2)
S  0.1528  0.2344  0.7981 (multiplicity 2)
S  0.2385  0.9974  0.0625 (multiplicity 2)
S  0.2984  0.9965  0.5946 (multiplicity 2)
S  0.4096  0.2562  0.2614 (multiplicity 2)
S  0.4352  0.5863  0.9603 (multiplicity 2)
S  0.4465  0.7768  0.2491 (multiplicity 2)

- largest piezoelectric modulus (C/m2) = 0.131

No. 2
## Rb5ThP3S12 (GGA-PBE)

Data for an optimized crystal structure of Rb5ThP3S12.

a b c (Å): 13.5752 10.1851 18.6502
angles (deg): 90.00 101.61 90.00
Space group P2_1/c (No. 14)
Asymmetric unit:
Rb  0.0148  0.1188  0.3745 (multiplicity 4)
Rb  0.0193  0.1818  0.1293 (multiplicity 4)
Rb  0.3039  0.6640  0.7169 (multiplicity 4)
Rb  0.3462  0.1158  0.6926 (multiplicity 4)
Rb  0.3522  0.1448  0.4507 (multiplicity 4)
Th  0.3174  0.6004  0.4638 (multiplicity 4)
P  0.1466  0.0999  0.8206 (multiplicity 4)
P  0.2166  0.6359  0.0184 (multiplicity 4)
P  0.4700  0.0888  0.1313 (multiplicity 4)
S  0.0001  0.0851  0.7699 (multiplicity 4)
S  0.1467  0.6947  0.5420 (multiplicity 4)
S  0.1611  0.0994  0.9338 (multiplicity 4)
S  0.1617  0.0360  0.5469 (multiplicity 4)
S  0.2061  0.2321  0.2886 (multiplicity 4)
S  0.2113  0.6499  0.9072 (multiplicity 4)
S  0.2293  0.5675  0.3070 (multiplicity 4)
S  0.3218  0.0958  0.0772 (multiplicity 4)
S  0.3658  0.6689  0.0658 (multiplicity 4)
S  0.4554  0.7484  0.8977 (multiplicity 4)
S  0.4701  0.0721  0.9135 (multiplicity 4)
S  0.4771  0.0887  0.2397 (multiplicity 4)

No. 3
## Rb3Zr2P5S18 (GGA-PBE)

Data for an optimized crystal structure of Rb3Zr2P5S18.

a b c (Å): 9.5775 10.1044 34.1290
angles (deg): 90.00 95.36 90.00
Space group Cc (No. 9)
Asymmetric unit:
Rb  0.0000  0.0895  0.0000 (multiplicity 4)
Rb  0.0226  0.4057  0.2042 (multiplicity 4)
Rb  0.4273  0.1192  0.8886 (multiplicity 4)
Zr  0.0742  0.0712  0.7894 (multiplicity 4)
Zr  0.4632  0.2914  0.0981 (multiplicity 4)
P  0.0400  0.2261  0.8742 (multiplicity 4)
P  0.0491  0.1404  0.6933 (multiplicity 4)
P  0.0925  0.2836  0.5133 (multiplicity 4)
P  0.1713  0.4648  0.0795 (multiplicity 4)
P  0.2540  0.2050  0.3086 (multiplicity 4)
S  0.0143  0.4629  0.6101 (multiplicity 4)
S  0.0410  0.1949  0.3037 (multiplicity 4)
S  0.0449  0.0270  0.8643 (multiplicity 4)
S  0.1142  0.2956  0.9260 (multiplicity 4)
S  0.1270  0.2985  0.8261 (multiplicity 4)
S  0.1362  0.4939  0.5178 (multiplicity 4)
S  0.1526  0.2356  0.4613 (multiplicity 4)
S  0.1611  0.2419  0.7381 (multiplicity 4)
S  0.1654  0.1096  0.6467 (multiplicity 4)
S  0.1755  0.2648  0.0848 (multiplicity 4)
S  0.1917  0.1869  0.5606 (multiplicity 4)
S  0.3084  0.3656  0.2772 (multiplicity 4)
S  0.3185  0.2203  0.3700 (multiplicity 4)
S  0.3278  0.0271  0.2901 (multiplicity 4)
S  0.3675  0.4667  0.5980 (multiplicity 4)
S  0.3779  0.2560  0.1694 (multiplicity 4)
S  0.3870  0.2394  0.0235 (multiplicity 4)
S  0.4971  0.4676  0.7203 (multiplicity 4)

Number 1: volume 28.8 Å³/atom, E_form -19.0 eV per formula unit. Number 2: volume 30.1 Å³/atom, E_form -27.6 eV per formula unit. Number 3: volume 29.4 Å³/atom, E_form -31.0 eV per formula unit.